Record 1
# La2Er3Ge3 (PBE, relaxed)
data_La2Er3Ge3
_symmetry_space_group_name_H-M 'P 1'
_symmetry_Int_Tables_number 1
_cell_length_a 8.690
_cell_length_b 8.690
_cell_length_c 6.593
_cell_angle_alpha 90.00
_cell_angle_beta 90.00
_cell_angle_gamma 120.00
loop_
_symmetry_equiv_pos_as_xyz
'x,y,z'
loop_
_atom_site_label
_atom_site_fract_x
_atom_site_fract_y
_atom_site_fract_z
La1 0.333 0.667 0.000
La2 0.333 0.667 0.500
La3 0.667 0.333 0.000
La4 0.667 0.333 0.500
Er1 0.000 0.243 0.250
Er2 0.000 0.757 0.750
Er3 0.243 0.000 0.250
Er4 0.243 0.243 0.750
Er5 0.757 0.000 0.750
Er6 0.757 0.757 0.250
Ge1 0.000 0.384 0.750
Ge2 0.000 0.616 0.250
Ge3 0.384 0.000 0.750
Ge4 0.384 0.384 0.250
Ge5 0.616 0.000 0.250
Ge6 0.616 0.616 0.750
# **E_form**: -0.7072 eV per atom
# **Space group**: P6_3/mcm
# **Calculated total energy**: -5.388 eV per atom

Record 2
# SrGa2Si2O8 (PBE, relaxed)
data_SrGa2Si2O8
_symmetry_space_group_name_H-M 'P 1'
_symmetry_Int_Tables_number 1
_cell_length_a 8.504
_cell_length_b 9.618
_cell_length_c 9.136
_cell_angle_alpha 90.00
_cell_angle_beta 90.68
_cell_angle_gamma 90.00
loop_
_symmetry_equiv_pos_as_xyz
'x,y,z'
loop_
_atom_site_label
_atom_site_fract_x
_atom_site_fract_y
_atom_site_fract_z
Sr1 0.249 0.085 0.111
Sr2 0.249 0.415 0.611
Sr3 0.751 0.585 0.389
Sr4 0.751 0.915 0.889
Ga1 0.073 0.690 0.054
Ga2 0.073 0.810 0.554
Ga3 0.430 0.076 0.726
Ga4 0.430 0.424 0.226
Ga5 0.570 0.576 0.774
Ga6 0.570 0.924 0.274
Ga7 0.927 0.190 0.446
Ga8 0.927 0.310 0.946
Si1 0.060 0.083 0.742
Si2 0.060 0.417 0.242
Si3 0.446 0.701 0.063
Si4 0.446 0.799 0.563
Si5 0.554 0.201 0.437
Si6 0.554 0.299 0.937
Si7 0.940 0.583 0.758
Si8 0.940 0.917 0.258
O1 0.011 0.068 0.310
O2 0.011 0.432 0.810
O3 0.059 0.628 0.625
O4 0.059 0.872 0.125
O5 0.064 0.194 0.606
O6 0.064 0.306 0.106
O7 0.236 0.076 0.818
O8 0.236 0.424 0.318
O9 0.274 0.646 0.007
O10 0.274 0.854 0.507
O11 0.427 0.199 0.572
O12 0.427 0.301 0.072
O13 0.438 0.636 0.622
O14 0.438 0.864 0.122
O15 0.484 0.097 0.307
O16 0.484 0.403 0.807
O17 0.516 0.597 0.193
O18 0.516 0.903 0.693
O19 0.562 0.136 0.878
O20 0.562 0.364 0.378
O21 0.573 0.699 0.928
O22 0.573 0.801 0.428
O23 0.726 0.146 0.493
O24 0.726 0.354 0.993
O25 0.764 0.576 0.682
O26 0.764 0.924 0.182
O27 0.936 0.694 0.894
O28 0.936 0.806 0.394
O29 0.941 0.128 0.875
O30 0.941 0.372 0.375
O31 0.989 0.568 0.190
O32 0.989 0.932 0.690
# **Distance to the lowest polymorph of the same formula**: 0.000 eV per atom
# **E_form**: -2.9878 eV per atom
# **Space group**: P2_1/c
# **Calculated total energy**: -7.040 eV per atom

Record 3
# NdCoP (PBE, relaxed)
data_NdCoP
_symmetry_space_group_name_H-M 'P 1'
_symmetry_Int_Tables_number 1
_cell_length_a 3.887
_cell_length_b 3.887
_cell_length_c 7.641
_cell_angle_alpha 90.00
_cell_angle_beta 90.00
_cell_angle_gamma 90.00
loop_
_symmetry_equiv_pos_as_xyz
'x,y,z'
loop_
_atom_site_label
_atom_site_fract_x
_atom_site_fract_y
_atom_site_fract_z
Nd1 0.250 0.250 0.200
Nd2 0.750 0.750 0.800
Co1 0.250 0.750 0.500
Co2 0.750 0.250 0.500
P1 0.250 0.250 0.658
P2 0.750 0.750 0.342
# **E_form**: -0.9394 eV per atom
# **Space group**: P4/nmm
# **Calculated total energy**: -6.703 eV per atom

Record 4
# Y2Co17 (PBE, relaxed)
data_Y2Co17
_symmetry_space_group_name_H-M 'P 1'
_symmetry_Int_Tables_number 1
_cell_length_a 8.322
_cell_length_b 8.322
_cell_length_c 8.144
_cell_angle_alpha 90.00
_cell_angle_beta 90.00
_cell_angle_gamma 120.00
loop_
_symmetry_equiv_pos_as_xyz
'x,y,z'
loop_
_atom_site_label
_atom_site_fract_x
_atom_site_fract_y
_atom_site_fract_z
Y1 0.000 0.000 0.250
Y2 0.000 0.000 0.750
Y3 0.333 0.667 0.250
Y4 0.667 0.333 0.750
Co1 0.000 0.500 0.000
Co2 0.000 0.500 0.500
Co3 0.046 0.375 0.750
Co4 0.046 0.671 0.750
Co5 0.167 0.334 0.019
Co6 0.167 0.334 0.481
Co7 0.167 0.833 0.019
Co8 0.167 0.833 0.481
Co9 0.329 0.375 0.750
Co10 0.329 0.954 0.750
Co11 0.333 0.667 0.608
Co12 0.333 0.667 0.892
Co13 0.334 0.167 0.519
Co14 0.334 0.167 0.981
Co15 0.375 0.046 0.250
Co16 0.375 0.329 0.250
Co17 0.500 0.000 0.000
Co18 0.500 0.000 0.500
Co19 0.500 0.500 0.000
Co20 0.500 0.500 0.500
Co21 0.625 0.671 0.750
Co22 0.625 0.954 0.750
Co23 0.666 0.833 0.019
Co24 0.666 0.833 0.481
Co25 0.667 0.333 0.108
Co26 0.667 0.333 0.392
Co27 0.671 0.046 0.250
Co28 0.671 0.625 0.250
Co29 0.833 0.167 0.519
Co30 0.833 0.167 0.981
Co31 0.833 0.666 0.519
Co32 0.833 0.666 0.981
Co33 0.954 0.329 0.250
Co34 0.954 0.625 0.250
# **E_form**: -0.0923 eV per atom
# **Space group**: P6_3/mmc
# **Calculated total energy**: -7.133 eV per atom